a:
The following is a DFT calculation (PBE-GGA) of a relaxed structure of TeO3.

a = 6.4744 Å, b = 6.4744 Å, c = 11.3470 Å
α = 90.00°, β = 90.00°, γ = 120.00°
With the nearest neighbours (Å) after each atom.
Space group P6_3cm (No. 185)
Inequivalent atoms, fractional coordinates:
Te1 0.0000 0.3305 0.0000 [6 per cell]  2 O 1.80
O1 0.0000 0.0000 0.4559 [2 per cell]  3 Te 2.20
O2 0.0000 0.2686 0.1547 [6 per cell]  1 Te 1.80
O3 0.0000 0.3862 0.8447 [6 per cell]  1 Te 1.80
O4 0.3333 0.6667 0.0249 [4 per cell]  3 Te 2.19

***

b:
The following is a DFT calculation (PBE-GGA) of a relaxed structure of TeO3.

a = 5.0474 Å, b = 5.0474 Å, c = 13.2256 Å
α = 90.00°, β = 90.00°, γ = 120.00°
With the nearest neighbours (Å) after each atom.
Space group R-3c (No. 167, hexagonal axes)
Inequivalent atoms, fractional coordinates:
Te1 0.0000 0.0000 0.0000 [6 per cell]  6 O 1.95
O1 0.0000 0.3641 0.2500 [18 per cell]  2 Te 1.95

***

It is b that is most stable; the runner-up trails by 677 meV per atom.